Record 1
Material: MoO3
Method: DFT, r2SCAN
State: relaxed

Results
spin magnetization	0.00	μB per atom
calculated total energy	-0.959	Ry/atom
space-group type	No. 63

a b c (Å): 7.495 7.495 3.728
angles (deg): 90.00 90.00 151.03
Positions (direct):
Mo: 0.103 0.897 0.750
Mo: 0.897 0.103 0.250
O: 0.067 0.933 0.250
O: 0.217 0.783 0.750
O: 0.417 0.583 0.250
O: 0.583 0.417 0.750
O: 0.783 0.217 0.250
O: 0.933 0.067 0.750

=====

Record 2
Material: ZnP4O11
Method: DFT, r2SCAN
State: relaxed

Results
spin magnetization	0.00	μB per atom
calculated total energy	-0.671	Ry/atom
space-group type	No. 14

a b c (Å): 5.309 22.288 7.406
angles (deg): 90.00 110.03 90.00
Positions (direct):
Zn: 0.008 0.114 0.370
Zn: 0.008 0.386 0.870
Zn: 0.992 0.614 0.130
Zn: 0.992 0.886 0.630
P: 0.305 0.072 0.811
P: 0.305 0.428 0.311
P: 0.318 0.678 0.555
P: 0.318 0.822 0.055
P: 0.388 0.696 0.970
P: 0.388 0.804 0.470
P: 0.403 0.036 0.208
P: 0.403 0.464 0.708
P: 0.597 0.536 0.292
P: 0.597 0.964 0.792
P: 0.612 0.196 0.530
P: 0.612 0.304 0.030
P: 0.682 0.178 0.945
P: 0.682 0.322 0.445
P: 0.695 0.572 0.689
P: 0.695 0.928 0.189
O: 0.068 0.076 0.640
O: 0.068 0.424 0.140
O: 0.080 0.655 0.406
O: 0.080 0.845 0.906
O: 0.178 0.684 0.053
O: 0.178 0.816 0.553
O: 0.219 0.045 0.315
O: 0.219 0.455 0.815
O: 0.231 0.046 0.981
O: 0.231 0.454 0.481
O: 0.250 0.694 0.738
O: 0.250 0.806 0.238
O: 0.339 0.567 0.251
O: 0.339 0.933 0.751
O: 0.359 0.163 0.477
O: 0.359 0.337 0.977
O: 0.432 0.135 0.881
O: 0.432 0.365 0.381
O: 0.450 0.536 0.705
O: 0.450 0.964 0.205
O: 0.458 0.733 0.500
O: 0.458 0.767 0.000
O: 0.542 0.233 0.000
O: 0.542 0.267 0.500
O: 0.550 0.036 0.795
O: 0.550 0.464 0.295
O: 0.568 0.635 0.619
O: 0.568 0.865 0.119
O: 0.641 0.663 0.023
O: 0.641 0.837 0.523
O: 0.661 0.067 0.249
O: 0.661 0.433 0.749
O: 0.750 0.194 0.762
O: 0.750 0.306 0.262
O: 0.769 0.546 0.519
O: 0.769 0.954 0.019
O: 0.781 0.545 0.185
O: 0.781 0.955 0.685
O: 0.822 0.184 0.447
O: 0.822 0.316 0.947
O: 0.920 0.155 0.094
O: 0.920 0.345 0.594
O: 0.932 0.576 0.860
O: 0.932 0.924 0.360

=====

Record 3
Material: BaIn3Pt
Method: DFT, r2SCAN
State: relaxed

Results
spin magnetization	0.00	μB per atom
calculated total energy	-2.191	Ry/atom
space-group type	No. 107

a b c (Å): 6.773 6.773 6.773
angles (deg): 138.33 138.33 60.40
Positions (direct):
Ba: 0.000 0.000 0.000
In: 0.241 0.741 0.500
In: 0.402 0.402 0.000
In: 0.741 0.241 0.500
Pt: 0.630 0.630 0.000

=====

Energy relative to the elements values, unit eV per atom, following the record order: -2.050 -2.209 -0.664.